Below is a geometry-optimized KBiSe2 structure, with properties calculated at the PBE level.

Unit cell a=7.7771 b=7.7771 c=7.7771 alpha=133.22 beta=133.22 gamma=68.32
Element x y z (fractional)
1 K 0.3750 0.6250 0.7500
2 K 0.6250 0.3750 0.2500
3 Bi 0.1250 0.8750 0.2500
4 Bi 0.8750 0.1250 0.7500
5 Se 0.1028 0.3528 0.7500
6 Se 0.3528 0.1028 0.2500
7 Se 0.6472 0.8972 0.7500
8 Se 0.8972 0.6472 0.2500

Properties
SG   No. 141
Magnetization   0.0012 μB/atom
Formation energy from the elements   -0.9113 eV per atom
Crystal system   tetragonal